Here is a relaxed SiO2 crystal from the Materials Project database. Energies are from meta-GGA r2SCAN.

Cell: 8.1334 9.1568 17.3418 Å, 90.00 90.00 90.00°
Sites, in units of the cell vectors:
Si: 0.6357 0.1312 0.0681
Si: 0.6357 0.8688 0.4319
Si: 0.8643 0.1312 0.9319
Si: 0.3643 0.3688 0.0681
Si: 0.1357 0.6312 0.5681
Si: 0.1357 0.3688 0.9319
Si: 0.3643 0.6312 0.4319
Si: 0.8643 0.8688 0.5681
Si: 0.0638 0.9123 0.0293
Si: 0.0638 0.0877 0.4707
Si: 0.4362 0.9123 0.9707
Si: 0.9362 0.5877 0.0293
Si: 0.5638 0.4123 0.5293
Si: 0.5638 0.5877 0.9707
Si: 0.9362 0.4123 0.4707
Si: 0.4362 0.0877 0.5293
Si: 0.9364 0.9132 0.3296
Si: 0.9364 0.0868 0.1704
Si: 0.5636 0.9132 0.6704
Si: 0.0636 0.5868 0.3296
Si: 0.4364 0.4132 0.8296
Si: 0.4364 0.5868 0.6704
Si: 0.0636 0.4132 0.1704
Si: 0.5636 0.0868 0.8296
O: 0.7500 0.2001 0.0000
O: 0.7500 0.7999 0.5000
O: 0.2500 0.2999 0.0000
O: 0.2500 0.7001 0.5000
O: 0.5500 0.9835 0.0373
O: 0.5500 0.0165 0.4627
O: 0.9500 0.9835 0.9627
O: 0.4500 0.5165 0.0373
O: 0.0500 0.4835 0.5373
O: 0.0500 0.5165 0.9627
O: 0.4500 0.4835 0.4627
O: 0.9500 0.0165 0.5373
O: 0.7476 0.0899 0.1413
O: 0.7476 0.9101 0.3587
O: 0.7524 0.0899 0.8587
O: 0.2524 0.4101 0.1413
O: 0.2476 0.5899 0.6413
O: 0.2476 0.4101 0.8587
O: 0.2524 0.5899 0.3587
O: 0.7524 0.9101 0.6413
O: 0.5000 0.2500 0.0930
O: 0.5000 0.7500 0.4070
O: 0.0000 0.2500 0.9070
O: 0.0000 0.7500 0.5930
O: 0.0525 0.0097 0.1067
O: 0.0525 0.9903 0.3933
O: 0.4475 0.0097 0.8933
O: 0.9475 0.4903 0.1067
O: 0.5525 0.5097 0.6067
O: 0.5525 0.4903 0.8933
O: 0.9475 0.5097 0.3933
O: 0.4475 0.9903 0.6067
O: 0.2500 0.9063 0.0000
O: 0.2500 0.0937 0.5000
O: 0.7500 0.5937 0.0000
O: 0.7500 0.4063 0.5000
O: 0.0000 0.7500 0.0477
O: 0.0000 0.2500 0.4523
O: 0.5000 0.7500 0.9523
O: 0.5000 0.2500 0.5477
O: 0.0000 0.7500 0.3152
O: 0.0000 0.2500 0.1848
O: 0.5000 0.7500 0.6848
O: 0.5000 0.2500 0.8152
O: 0.9459 0.0000 0.2500
O: 0.5541 0.0000 0.7500
O: 0.0541 0.5000 0.2500
O: 0.4459 0.5000 0.7500

Calculated volume ... 1291.55 Å³/cell
Total DFT energy (no corrections) ... -714.623 eV for the cell shown

Here is a relaxed SiO2 crystal from the Materials Project database. Energies are from meta-GGA r2SCAN.

Cell: 13.8193 6.9106 6.4190 Å, 90.00 90.00 90.00°
Sites, in units of the cell vectors:
Si: 0.1152 0.0000 0.5007
Si: 0.6152 0.0000 0.4993
Si: 0.8848 0.0000 0.4993
Si: 0.3848 0.0000 0.5007
Si: 0.2500 0.2697 0.2622
Si: 0.7500 0.7303 0.7378
Si: 0.7500 0.2697 0.7378
Si: 0.2500 0.7303 0.2622
Si: 0.2500 0.0000 0.8815
Si: 0.7500 0.0000 0.1185
O: 0.0000 0.0000 0.5000
O: 0.5000 0.0000 0.5000
O: 0.1544 0.1914 0.3816
O: 0.6544 0.8086 0.6184
O: 0.8456 0.1914 0.6184
O: 0.3456 0.8086 0.3816
O: 0.8456 0.8086 0.6184
O: 0.3456 0.1914 0.3816
O: 0.1544 0.8086 0.3816
O: 0.6544 0.1914 0.6184
O: 0.1541 0.0000 0.7379
O: 0.6541 0.0000 0.2621
O: 0.8459 0.0000 0.2621
O: 0.3459 0.0000 0.7379
O: 0.2500 0.5000 0.2613
O: 0.7500 0.5000 0.7387
O: 0.2500 0.1917 0.0252
O: 0.7500 0.8083 0.9748
O: 0.7500 0.1917 0.9748
O: 0.2500 0.8083 0.0252

Calculated volume ... 613.01 Å³/cell
Total DFT energy (no corrections) ... -297.227 eV for the cell shown
SG ... Pmma

Here is a relaxed LiCuF3 crystal from the Materials Project database. Energies are from meta-GGA r2SCAN.

Cell: 5.4359 5.4359 5.4359 Å, 55.12 55.12 55.12°
Sites, in units of the cell vectors:
Li: 0.8056 0.8056 0.8056
Li: 0.3056 0.3056 0.3056
Cu: 0.5102 0.5102 0.5102
Cu: 0.0102 0.0102 0.0102
F: 0.7327 0.4098 0.1111
F: 0.6111 0.9098 0.2327
F: 0.9098 0.2327 0.6111
F: 0.1111 0.7327 0.4098
F: 0.4098 0.1111 0.7327
F: 0.2327 0.6111 0.9098

Calculated volume ... 100.69 Å³/cell
Offset from the most stable computed form ... 0.022 eV per atom
SG ... R3c

Here is a relaxed SrIn3Au crystal from the Materials Project database. Energies are from meta-GGA r2SCAN.

Cell: 7.0469 7.0469 7.0469 Å, 141.90 141.90 54.98°
Sites, in units of the cell vectors:
Sr: 0.9979 0.9979 0.0000
In: 0.2310 0.7310 0.5000
In: 0.7310 0.2310 0.5000
In: 0.3830 0.3830 0.0000
Au: 0.5988 0.5988 0.0000

Calculated volume ... 132.29 Å³/cell
Total DFT energy (no corrections) ... -136.253 eV for the cell shown
SG ... I4mm

Here is a relaxed Rb2MnTe2 crystal from the Materials Project database. Energies are from meta-GGA r2SCAN.

Cell: 7.1210 7.6850 9.0447 Å, 115.14 113.18 90.00°
Sites, in units of the cell vectors:
Rb: 0.1440 0.4684 0.2879
Rb: 0.6440 0.8195 0.2879
Rb: 0.8560 0.5316 0.7121
Rb: 0.3560 0.1805 0.7121
Mn: 0.7500 0.0000 0.0000
Mn: 0.2500 0.0000 0.0000
Te: 0.8956 0.0870 0.7911
Te: 0.1044 0.9130 0.2089
Te: 0.6044 0.2959 0.2089
Te: 0.3956 0.7041 0.7911

Calculated volume ... 403.50 Å³/cell
Total DFT energy (no corrections) ... -197.794 eV for the cell shown
SG ... Ibam

Here is a relaxed Pr3In5 crystal from the Materials Project database. Energies are from meta-GGA r2SCAN.

Cell: 6.6120 6.6120 10.5841 Å, 90.00 90.00 101.59°
Sites, in units of the cell vectors:
Pr: 0.6340 0.6340 0.2501
Pr: 0.3660 0.3660 0.7499
Pr: 0.7976 0.2024 0.5000
Pr: 0.7976 0.2024 0.0000
Pr: 0.2024 0.7976 0.5000
Pr: 0.2024 0.7976 0.0000
In: 0.0152 0.0152 0.2500
In: 0.9848 0.9848 0.7500
In: 0.3094 0.3094 0.0513
In: 0.6906 0.6906 0.9487
In: 0.3094 0.3094 0.4487
In: 0.6906 0.6906 0.5513
In: 0.0806 0.5005 0.2500
In: 0.4995 0.9194 0.7500
In: 0.9194 0.4995 0.7500
In: 0.5005 0.0806 0.2500

Calculated volume ... 453.29 Å³/cell
Total DFT energy (no corrections) ... -412.819 eV for the cell shown
SG ... Cmcm